(1)
The following is a r²SCAN calculation of a geometry-optimized InBi structure, from Materials Project.

Cell: 4.7424 4.7424 5.3003 Å, 90.00 90.00 90.00°
Closest atoms and distances in Å follow each position.
Positions (direct):
In (0.5000, 0.0000, 0.4965)  4 In 3.35, 8 Bi 3.54-3.57
In (0.0000, 0.5000, 0.5035)  4 In 3.35, 8 Bi 3.54-3.57
Bi (0.0000, 0.0000, 0.0000)  4 Bi 3.35, 8 In 3.54-3.57
Bi (0.5000, 0.5000, 0.0000)  4 Bi 3.35, 8 In 3.54-3.57

## Properties
Space group ... P4/nmm (129)

***

(2)
The following is a r²SCAN calculation of a geometry-optimized KAlO2 structure, from Materials Project.

Cell: 5.5025 5.5025 7.7280 Å, 90.00 90.00 90.00°
Closest atoms and distances in Å follow each position.
Positions (direct):
K (0.7271, 0.7271, 0.0000)  4 O 2.73-2.77
K (0.2271, 0.7729, 0.7500)  4 O 2.73-2.77
K (0.7729, 0.2271, 0.2500)  4 O 2.73-2.77
K (0.2729, 0.2729, 0.5000)  4 O 2.73-2.77
O (0.7442, 0.4127, 0.5765)  2 Al 1.75-1.76
O (0.2442, 0.0873, 0.1735)  2 Al 1.75-1.76
O (0.2558, 0.5873, 0.0765)  2 Al 1.75-1.76
O (0.0873, 0.2442, 0.8265)  2 Al 1.75-1.76
O (0.4127, 0.7442, 0.4235)  2 Al 1.75-1.76
O (0.5873, 0.2558, 0.9235)  2 Al 1.75-1.76
O (0.9127, 0.7558, 0.3265)  2 Al 1.75-1.76
O (0.7558, 0.9127, 0.6735)  2 Al 1.75-1.76
Al (0.7120, 0.7120, 0.5000)  4 O 1.75-1.76
Al (0.2880, 0.2880, 0.0000)  4 O 1.75-1.76
Al (0.7880, 0.2120, 0.7500)  4 O 1.75-1.76
Al (0.2120, 0.7880, 0.2500)  4 O 1.75-1.76

## Properties
Space group ... P4_12_12 (92)

***

(3)
The following is a r²SCAN calculation of a geometry-optimized TaI4 structure, from Materials Project.

Cell: 7.3316 10.8689 11.0205 Å, 80.57 88.95 74.94°
Closest atoms and distances in Å follow each position.
Positions (direct):
Ta (0.1863, 0.6724, 0.7229)  6 I 2.66-2.91, 1 Ta 2.96
Ta (0.8137, 0.3276, 0.2771)  6 I 2.66-2.91, 1 Ta 2.96
Ta (0.8868, 0.0913, 0.1633)  6 I 2.68-2.90, 1 Ta 2.96
Ta (0.1132, 0.9087, 0.8367)  6 I 2.68-2.90, 1 Ta 2.96
I (0.2356, 0.9460, 0.0734)  2 Ta 2.89-2.90
I (0.7966, 0.8802, 0.2805)  1 Ta 2.68
I (0.0717, 0.4528, 0.3332)  1 Ta 2.73
I (0.2034, 0.1198, 0.7195)  1 Ta 2.68
I (0.4760, 0.7589, 0.8307)  2 Ta 2.74-2.88
I (0.9283, 0.5472, 0.6668)  1 Ta 2.73
I (0.9737, 0.3163, 0.0341)  2 Ta 2.84-2.91
I (0.4172, 0.4327, 0.8082)  1 Ta 2.74
I (0.5828, 0.5673, 0.1918)  1 Ta 2.74
I (0.8837, 0.9010, 0.6458)  2 Ta 2.74-2.89
I (0.6597, 0.2911, 0.4964)  1 Ta 2.66
I (0.7644, 0.0540, 0.9266)  2 Ta 2.89-2.90
I (0.0263, 0.6837, 0.9659)  2 Ta 2.84-2.91
I (0.5240, 0.2411, 0.1693)  2 Ta 2.74-2.88
I (0.3403, 0.7089, 0.5036)  1 Ta 2.66
I (0.1163, 0.0990, 0.3542)  2 Ta 2.74-2.89

## Properties
Space group ... P-1 (2)

***

(4)
The following is a r²SCAN calculation of a geometry-optimized Tb7MnI12 structure, from Materials Project.

Cell: 9.7116 9.7287 9.6859 Å, 106.85 106.99 107.27°
Closest atoms and distances in Å follow each position.
Positions (direct):
I (0.4634, 0.3851, 0.1581)  3 Tb 3.05-3.21
I (0.1592, 0.4653, 0.3884)  3 Tb 3.05-3.20
I (0.6826, 0.0759, 0.2291)  3 Tb 3.08-3.45
I (0.6147, 0.8413, 0.5361)  3 Tb 3.05-3.20
I (0.3175, 0.9241, 0.7709)  3 Tb 3.08-3.45
I (0.5366, 0.6148, 0.8419)  3 Tb 3.05-3.21
I (0.9254, 0.7737, 0.3178)  2 Tb 3.09-3.13
I (0.0746, 0.2262, 0.6822)  2 Tb 3.09-3.13
I (0.7710, 0.3191, 0.9240)  3 Tb 3.09-3.43
I (0.8409, 0.5347, 0.6116)  3 Tb 3.05-3.20
I (0.3851, 0.1587, 0.4640)  3 Tb 3.05-3.20
I (0.2290, 0.6810, 0.0760)  3 Tb 3.09-3.43
Tb (0.5000, 0.5000, 0.5000)  6 I 3.05
Tb (0.2917, 0.0209, 0.0919)  1 Mn 2.63
Tb (0.9770, 0.9061, 0.7108)  1 Mn 2.60
Tb (0.7083, 0.9791, 0.9081)  1 Mn 2.63
Tb (0.0920, 0.2932, 0.0241)  1 Mn 2.64
Tb (0.9080, 0.7068, 0.9758)  1 Mn 2.64
Tb (0.0230, 0.0939, 0.2891)  1 Mn 2.60
Mn (0.9999, 0.0000, 0.9999)  6 Tb 2.60-2.64

## Properties
Space group ... P-1 (2)

***

(5)
The following is a r²SCAN calculation of a geometry-optimized Na3Ni2P2C2O14 structure, from Materials Project.

Cell: 8.8979 8.0519 8.0071 Å, 76.97 88.95 90.95°
Closest atoms and distances in Å follow each position.
Positions (direct):
O (0.0552, 0.4691, 0.7864)  1 C 1.24
O (0.2024, 0.6225, 0.1446)  1 C 1.33
O (0.1459, 0.9004, 0.8489)  1 C 1.32
O (0.4646, 0.9092, 0.3271)  1 P 1.55
O (0.1856, 0.1015, 0.6266)  1 C 1.30
O (0.5711, 0.1917, 0.0567)  1 P 1.53
O (0.8467, 0.0946, 0.1520)  1 C 1.31
O (0.3297, 0.6228, 0.4286)  1 P 1.55
O (0.9448, 0.0309, 0.7136)  1 C 1.24
O (0.3199, 0.1545, 0.9183)  1 P 1.53
O (0.4289, 0.3083, 0.4433)  1 P 1.53
O (0.9592, 0.5542, 0.2137)  1 C 1.22
O (0.5840, 0.6825, 0.5440)  1 P 1.53
O (0.3392, 0.8059, 0.6238)  1 P 1.51
O (0.0408, 0.9458, 0.2863)  1 C 1.22
O (0.6608, 0.6941, 0.8762)  1 P 1.51
O (0.4160, 0.8175, 0.9560)  1 P 1.53
O (0.4691, 0.4260, 0.8295)  1 P 1.56
O (0.5354, 0.5908, 0.1729)  1 P 1.55
O (0.6703, 0.8772, 0.0714)  1 P 1.55
O (0.5309, 0.0740, 0.6705)  1 P 1.56
O (0.8144, 0.3985, 0.8734)  1 C 1.30
O (0.8541, 0.5996, 0.6511)  1 C 1.32
O (0.1533, 0.4054, 0.3480)  1 C 1.31
O (0.6801, 0.3455, 0.5817)  1 P 1.53
O (0.7976, 0.8775, 0.3554)  1 C 1.33
O (0.3286, 0.3430, 0.1126)  1 P 1.54
O (0.6714, 0.1570, 0.3874)  1 P 1.54
P (0.4329, 0.7576, 0.4830)  4 O 1.51-1.55
P (0.5671, 0.7424, 0.0170)  4 O 1.51-1.55
P (0.5731, 0.2247, 0.5170)  4 O 1.53-1.56
P (0.4269, 0.2753, 0.9830)  4 O 1.53-1.56
Ni (0.3497, 0.4840, 0.2689)  6 O 1.88-1.92
Ni (0.6593, 0.5183, 0.7342)  6 O 1.90-2.06
Ni (0.3407, 0.9817, 0.7658)  6 O 1.90-2.06
Ni (0.6503, 0.0160, 0.2311)  6 O 1.88-1.92
Na (0.7511, 0.5777, 0.3569)  5 O 2.19-2.44
Na (0.7533, 0.8804, 0.6334)  5 O 2.26-2.42
Na (0.2489, 0.9223, 0.1431)  5 O 2.19-2.44
Na (0.2418, 0.3731, 0.6311)  5 O 2.24-2.39
Na (0.7582, 0.1269, 0.8689)  5 O 2.24-2.39
Na (0.2467, 0.6196, 0.8666)  5 O 2.26-2.42
C (0.9074, 0.9722, 0.2643)  3 O 1.22-1.33
C (0.0821, 0.0126, 0.7271)  3 O 1.24-1.32
C (0.9179, 0.4874, 0.7729)  3 O 1.24-1.32
C (0.0926, 0.5278, 0.2357)  3 O 1.22-1.33

## Properties
Space group ... P-1 (2)

***

(6)
The following is a r²SCAN calculation of a geometry-optimized LaAl2Ag3 structure, from Materials Project.

Cell: 5.6182 5.6182 4.5039 Å, 90.00 90.00 121.88°
Closest atoms and distances in Å follow each position.
Positions (direct):
Al (0.5000, 0.0000, 0.5000)  6 Ag 2.73-2.81, 2 Al 2.73
Al (0.0000, 0.5000, 0.5000)  6 Ag 2.73-2.81, 2 Al 2.73
Ag (0.3220, 0.6780, 0.0000)  4 Al 2.73, 2 Ag 2.85
Ag (0.6780, 0.3220, 0.0000)  4 Al 2.73, 2 Ag 2.85
Ag (0.5000, 0.5000, 0.5000)  4 Al 2.81, 4 Ag 2.85
La (0.0000, 0.0000, 0.0000)  10 Ag 3.16-3.54

## Properties
Space group ... Cmmm (65)

***

(7)
The following is a r²SCAN calculation of a geometry-optimized Li11FeW7O28 structure, from Materials Project.

Cell: 8.4169 8.4169 8.1674 Å, 89.94 89.94 89.91°
Closest atoms and distances in Å follow each position.
Positions (direct):
O (0.3848, 0.1466, 0.6140)  1 W 1.79, 1 Li 2.00
O (0.6118, 0.3940, 0.6081)  3 W 2.05-2.20
O (0.1236, 0.3819, 0.1258)  1 W 1.77, 2 Li 1.94-1.96
O (0.6220, 0.8633, 0.1245)  1 W 1.83, 1 Fe 1.94, 1 Li 1.98
O (0.1228, 0.1228, 0.3756)  1 W 1.78, 2 Li 1.92
O (0.6158, 0.6158, 0.3851)  3 W 2.12-2.24, 1 Fe 2.32
O (0.8754, 0.1226, 0.6230)  1 W 1.78, 2 Li 1.93
O (0.3940, 0.6118, 0.6081)  3 W 2.05-2.20
O (0.3970, 0.6205, 0.1429)  1 W 1.85, 1 Fe 2.02, 1 Li 2.07
O (0.1465, 0.3848, 0.6140)  1 W 1.79, 1 Li 2.00
O (0.3957, 0.3957, 0.3884)  3 W 2.12-2.15
O (0.3819, 0.1236, 0.1258)  1 W 1.77, 2 Li 1.94-1.96
O (0.3756, 0.8777, 0.8756)  1 W 1.77, 2 Li 1.94-1.98
O (0.6208, 0.1182, 0.8764)  1 W 1.77, 2 Li 1.91-1.92
O (0.8633, 0.6220, 0.1245)  1 W 1.83, 1 Fe 1.94, 1 Li 1.98
O (0.3829, 0.8554, 0.3850)  1 W 1.78
O (0.6216, 0.1441, 0.3767)  1 W 1.77
O (0.8554, 0.3829, 0.3850)  1 W 1.78
O (0.1226, 0.8754, 0.6230)  1 W 1.78, 2 Li 1.93
O (0.1182, 0.6208, 0.8764)  1 W 1.77, 2 Li 1.91-1.92
O (0.8777, 0.3756, 0.8756)  1 W 1.77, 2 Li 1.94-1.98
O (0.1441, 0.6216, 0.3767)  1 W 1.77
O (0.6186, 0.6186, 0.8642)  1 W 1.85, 1 Fe 1.96
O (0.6199, 0.8546, 0.6186)  1 W 1.77
O (0.6205, 0.3970, 0.1429)  1 W 1.85, 1 Fe 2.02, 1 Li 2.07
O (0.3866, 0.3866, 0.8555)  1 W 1.79, 1 Li 2.00
O (0.8762, 0.8762, 0.3745)  1 W 1.79, 2 Li 1.93
O (0.8546, 0.6199, 0.6186)  1 W 1.77
Li (0.6454, 0.3432, 0.8965)  3 O 1.91-2.07
Li (0.3481, 0.9136, 0.6424)  3 O 1.93-2.00
Li (0.9080, 0.6500, 0.3606)  3 O 1.93-2.01
Li (0.6500, 0.9080, 0.3606)  3 O 1.93-2.01
Li (0.9136, 0.3481, 0.6424)  3 O 1.93-2.00
Li (0.6497, 0.0890, 0.6451)  3 O 1.92-2.00
Li (0.3432, 0.6454, 0.8965)  3 O 1.91-2.07
Li (0.0916, 0.3484, 0.3586)  3 O 1.92-2.02
Li (0.0890, 0.6497, 0.6451)  3 O 1.92-2.00
Li (0.3532, 0.3532, 0.0961)  3 O 1.96-2.00
Li (0.3484, 0.0916, 0.3586)  3 O 1.92-2.02
W (0.4984, 0.9970, 0.0008)  4 O 1.77-1.83
W (0.9993, 0.9993, 0.4991)  4 O 1.78-1.79
W (0.3527, 0.6469, 0.3637)  3 O 1.77-1.85
W (0.6469, 0.3527, 0.3637)  3 O 1.77-1.85
W (0.9970, 0.4984, 0.0008)  4 O 1.77-1.83
W (0.6465, 0.6465, 0.6410)  3 O 1.77-1.85
W (0.3551, 0.3551, 0.6410)  3 O 1.79
Fe (0.6335, 0.6335, 0.1027)  5 O 1.94-2.02

## Properties
Space group ... Cm (8)

***

(8)
The following is a r²SCAN calculation of a geometry-optimized SiO2 structure, from Materials Project.

Cell: 8.5465 15.2693 9.6201 Å, 90.00 90.00 90.00°
Closest atoms and distances in Å follow each position.
Positions (direct):
Si (0.3125, 0.5966, 0.3487)  4 O 1.60-1.62
Si (0.8125, 0.4034, 0.3487)  4 O 1.60-1.62
Si (0.8127, 0.7500, 0.1566)  4 O 1.60-1.61
Si (0.6875, 0.9034, 0.3487)  4 O 1.60-1.62
Si (0.3127, 0.7500, 0.8434)  4 O 1.60-1.61
Si (0.3125, 0.9034, 0.3487)  4 O 1.60-1.62
Si (0.1875, 0.9034, 0.6513)  4 O 1.60-1.62
Si (0.8125, 0.0966, 0.3487)  4 O 1.60-1.62
Si (0.8125, 0.5966, 0.6513)  4 O 1.60-1.62
Si (0.6875, 0.0966, 0.6513)  4 O 1.60-1.62
Si (0.6873, 0.7500, 0.8434)  4 O 1.60-1.61
Si (0.8127, 0.2500, 0.8434)  4 O 1.60-1.61
Si (0.1875, 0.5966, 0.6513)  4 O 1.60-1.62
Si (0.1875, 0.0966, 0.3487)  4 O 1.60-1.62
Si (0.6875, 0.4034, 0.6513)  4 O 1.60-1.62
Si (0.6873, 0.2500, 0.1566)  4 O 1.60-1.61
Si (0.1873, 0.2500, 0.8434)  4 O 1.60-1.61
Si (0.3125, 0.4034, 0.6513)  4 O 1.60-1.62
Si (0.3127, 0.2500, 0.1566)  4 O 1.60-1.61
Si (0.3125, 0.0966, 0.6513)  4 O 1.60-1.62
Si (0.1873, 0.7500, 0.1566)  4 O 1.60-1.61
Si (0.8125, 0.9034, 0.6513)  4 O 1.60-1.62
Si (0.6875, 0.5966, 0.3487)  4 O 1.60-1.62
Si (0.1875, 0.4034, 0.3487)  4 O 1.60-1.62
O (0.0000, 0.2500, 0.8429)  2 Si 1.60
O (0.2500, 0.6263, 0.5000)  2 Si 1.62
O (0.5000, 0.0963, 0.6503)  2 Si 1.60
O (0.7500, 0.5000, 0.6886)  2 Si 1.61
O (0.0000, 0.7500, 0.1571)  2 Si 1.60
O (0.7503, 0.1636, 0.2335)  2 Si 1.60-1.61
O (0.5000, 0.7500, 0.8429)  2 Si 1.60
O (0.7497, 0.6636, 0.2335)  2 Si 1.60-1.61
O (0.2500, 0.5000, 0.6886)  2 Si 1.61
O (0.2500, 0.2500, 0.0000)  2 Si 1.60
O (0.7497, 0.1636, 0.7665)  2 Si 1.60-1.61
O (0.2500, 0.0000, 0.3114)  2 Si 1.61
O (0.0000, 0.4037, 0.3497)  2 Si 1.60
O (0.2497, 0.6636, 0.7665)  2 Si 1.60-1.61
O (0.2500, 0.5000, 0.3114)  2 Si 1.61
O (0.7500, 0.6263, 0.5000)  2 Si 1.62
O (0.7500, 0.0000, 0.3114)  2 Si 1.61
O (0.0000, 0.9037, 0.6503)  2 Si 1.60
O (0.7503, 0.6636, 0.7665)  2 Si 1.60-1.61
O (0.7500, 0.8737, 0.5000)  2 Si 1.62
O (0.7500, 0.2500, 0.0000)  2 Si 1.60
O (0.7500, 0.0000, 0.6886)  2 Si 1.61
O (0.7500, 0.7500, 0.0000)  2 Si 1.60
O (0.7497, 0.8364, 0.2335)  2 Si 1.60-1.61
O (0.5000, 0.9037, 0.3497)  2 Si 1.60
O (0.2500, 0.1263, 0.5000)  2 Si 1.62
O (0.0000, 0.5963, 0.6503)  2 Si 1.60
O (0.5000, 0.4037, 0.6503)  2 Si 1.60
O (0.7503, 0.3364, 0.2335)  2 Si 1.60-1.61
O (0.2497, 0.1636, 0.2335)  2 Si 1.60-1.61
O (0.2503, 0.6636, 0.2335)  2 Si 1.60-1.61
O (0.5000, 0.5963, 0.3497)  2 Si 1.60
O (0.7497, 0.3364, 0.7665)  2 Si 1.60-1.61
O (0.5000, 0.2500, 0.1571)  2 Si 1.60
O (0.2500, 0.0000, 0.6886)  2 Si 1.61
O (0.2503, 0.3364, 0.7665)  2 Si 1.60-1.61
O (0.2503, 0.1636, 0.7665)  2 Si 1.60-1.61
O (0.7500, 0.1263, 0.5000)  2 Si 1.62
O (0.2503, 0.8364, 0.2335)  2 Si 1.60-1.61
O (0.7503, 0.8364, 0.7665)  2 Si 1.60-1.61
O (0.2500, 0.7500, 0.0000)  2 Si 1.60
O (0.2500, 0.8737, 0.5000)  2 Si 1.62
O (0.2497, 0.8364, 0.7665)  2 Si 1.60-1.61
O (0.2497, 0.3364, 0.2335)  2 Si 1.60-1.61
O (0.0000, 0.0963, 0.3497)  2 Si 1.60
O (0.7500, 0.3737, 0.5000)  2 Si 1.62
O (0.2500, 0.3737, 0.5000)  2 Si 1.62
O (0.7500, 0.5000, 0.3114)  2 Si 1.61

***

no.,uncorrected energy (eV per atom)
1,-40.452
2,-9.009
3,-29.914
4,-27.748
5,-8.582
6,-18.245
7,-14.416
8,-9.925